First-principles (GGA+U) data for a geometry-optimized NaW2Br6O2 structure, as listed in the Materials Project.

Results
Size of the total moment: 2.00 μB/cell
Energy above the lowest structure with this stoichiometry: 98.6 meV per atom
Crystal system: orthorhombic

Cell lengths 3.817, 10.530, 14.186 Å; angles 90.00, 90.00, 90.00 degrees
Space group Immm (No. 71)
Asymmetric unit:
Na 0.000 0.000 0.000
W 0.000 0.139 0.500
Br 0.000 0.000 0.352
Br 0.000 0.322 0.379
O 0.000 0.362 0.000